# 1
Here is V5Fe2O12 after structural relaxation from the Materials Project database. Energies are from PBE with a Hubbard U.

The structure in POSCAR format:
```
V5Fe2O12
1.0
6.6590 0.0000 0.0000
-2.4776 6.6727 0.0000
-1.2377 -0.8929 21.2174
V Fe O
20 8 48
Cartesian
0.0000 0.0000 0.0000
-0.5548 -0.0912 7.9849
-1.2803 3.7031 0.1876
-1.5782 3.1394 7.2830
-2.9163 5.8366 13.9746
-1.8076 5.3148 10.9664
-1.1007 3.1053 13.8086
-1.2768 5.4978 4.4526
-1.6372 4.8730 18.7295
0.9015 1.8775 5.9518
0.5866 1.7632 15.9877
2.5885 0.5033 9.1895
1.6198 3.8448 13.7717
1.9951 4.2907 7.1158
2.4079 4.6273 0.2603
1.8368 5.2414 10.4756
2.1803 5.6726 3.6812
1.6715 4.5710 17.8882
3.5144 2.1857 11.4907
4.4870 2.4812 3.3030
-0.4247 1.9655 19.3359
0.2624 2.8749 10.3315
1.0890 2.6458 2.3424
2.7326 0.1236 1.7012
2.5752 0.0510 14.1314
3.6651 0.6438 6.0414
2.8905 0.3550 20.2497
3.4605 2.8117 16.1288
-0.9441 1.3628 6.6102
-0.8790 2.8811 1.9994
-1.3606 2.8581 8.9483
-1.4368 2.3745 15.4888
-1.2875 2.7810 11.9945
-2.2545 4.6192 20.4525
0.1465 -0.0958 15.3638
0.6315 -0.4058 12.6299
1.0156 1.0436 1.0418
0.0629 1.4076 17.5639
1.0499 0.8314 8.1038
0.8280 2.3388 4.2852
0.1995 3.5463 6.7893
1.6574 0.0918 5.7049
-0.3882 2.8681 21.1623
0.5458 2.2278 13.9790
0.1125 5.7106 3.3294
-0.2314 5.4806 9.8925
-0.1529 4.6754 14.1353
-0.1647 3.8832 18.4192
1.4934 -0.1752 19.1128
1.9524 1.8170 10.3556
1.1255 4.1931 11.7776
1.9064 4.3971 2.2070
2.9834 2.0709 2.3789
1.7821 4.1416 8.9240
2.4472 1.2198 15.7824
1.5825 3.5450 16.1146
2.7259 2.5963 6.6173
1.9145 5.2972 5.6173
4.4194 -0.0058 0.5676
2.9067 1.9154 13.0642
3.9808 0.0699 8.0316
2.3734 2.1364 20.8534
3.9472 0.4800 10.7269
4.4040 0.9285 4.2045
1.8557 4.7259 19.8922
4.0607 -0.5370 17.4614
2.0566 6.0510 13.6590
3.4422 4.0881 11.0576
4.1326 5.0930 1.0386
3.6684 4.0578 14.2909
3.9996 4.9213 7.3525
3.6475 4.0172 17.7135
4.8053 3.7138 4.6648
4.0054 6.1318 3.5829
4.7391 0.8797 20.2370
3.5608 6.2137 9.8077
```

Properties
**Formation energy from the elements**: -200.5 kJ/mol of atoms
**E**: -559.8 eV for the cell shown

# 2
Here is V6ZnFe4O24 after structural relaxation from the Materials Project database. Energies are from PBE with a Hubbard U.

The structure in POSCAR format:
```
V6ZnFe4O24
1.0
6.7480 0.0000 0.0000
-1.9651 8.0850 0.0000
-2.6276 -3.6834 8.9216
V Zn Fe O
6 1 4 24
Cartesian
-0.1322 1.5826 1.2265
-0.6061 0.0313 6.5403
-0.8734 4.7724 5.8964
3.0287 -0.3708 3.0253
2.7614 4.3703 2.3813
2.2875 2.8190 7.6951
1.0777 2.2008 4.4608
-0.2694 -1.1353 3.5149
-1.1211 2.7827 8.8143
3.2764 1.6189 0.1073
2.4248 5.5369 5.4067
-2.0577 -0.9174 6.5066
-0.4370 0.0523 2.0025
-3.0615 2.4543 8.6790
-2.2890 5.5949 5.0793
1.2968 1.5073 0.1914
0.2032 2.6481 2.5263
-0.0439 0.3316 4.8453
-1.0167 1.4901 7.3325
-0.4726 3.2927 5.2028
-0.3183 6.7257 3.1946
-1.1942 4.4635 7.6382
0.5537 -0.8498 7.5018
1.6016 5.2514 1.4198
3.3496 -0.0618 1.2834
2.4736 -2.3241 5.7270
2.6279 1.1089 3.7188
3.1720 2.9115 1.5891
2.1992 4.0700 4.0763
1.9521 1.7535 6.3953
0.8585 2.8943 8.7303
4.4443 -1.1933 3.8423
5.2169 1.9473 0.2426
2.5923 4.3493 6.9191
4.2130 5.3190 2.4150
```

Properties
**Formation energy from the elements**: -182.1 kJ/mol of atoms
**E**: -238.8 eV for the cell shown

# 3
Here is V6Zn3Fe4O24 after structural relaxation from the Materials Project database. Energies are from PBE with a Hubbard U.

The structure in POSCAR format:
```
V6Zn3Fe4O24
1.0
6.7678 0.0000 0.0000
-1.7335 7.9559 0.0000
-2.5713 -3.2768 9.0325
V Zn Fe O
6 3 4 24
Cartesian
-0.1571 1.7523 1.1552
-0.5871 0.3212 6.5858
-0.6013 4.9936 6.0170
3.0643 -0.3145 3.0155
3.0502 4.3579 2.4467
2.6202 2.9268 7.8773
-0.2963 4.9680 1.8395
1.2315 2.3395 4.5162
2.7593 -0.2889 7.1929
-0.2814 -0.8994 3.5447
-0.8071 3.0647 8.8957
3.2702 1.6144 0.1367
2.7445 5.5785 5.4878
-2.0800 -0.6095 6.5863
-0.4431 0.3274 2.0906
-0.2647 5.9220 0.0404
-2.0061 5.7532 5.1859
-0.0072 3.0699 2.2838
1.3259 1.6122 0.3039
0.0131 0.6127 4.9230
-0.9058 1.7767 7.3772
-0.0793 6.6015 3.1449
-0.1517 3.5560 5.2755
-0.9550 4.7032 7.7329
0.6456 -0.5242 7.5251
1.8175 5.2033 1.5074
3.4181 -0.0241 1.2996
2.6148 1.1231 3.7569
2.5424 -1.9224 5.8876
3.3689 2.9024 1.6553
2.4500 4.0664 4.1094
1.1372 3.0669 8.7285
2.4703 1.6092 6.7487
4.4692 -1.0741 3.8466
2.7278 -1.2429 8.9920
2.9062 4.3516 6.9419
4.5431 5.2886 2.4462
```

Properties
**Formation energy from the elements**: -201.6 kJ/mol of atoms
**E**: -252.5 eV for the cell shown

# 4
Here is Fe2W3O12 after structural relaxation from the Materials Project database. Energies are from PBE with a Hubbard U.

The structure in POSCAR format:
```
Fe2W3O12
1.0
6.9859 0.0000 0.0000
-2.1026 8.4451 0.0000
-2.4408 -3.9584 9.3069
Fe W O
4 6 24
Cartesian
-0.1327 1.6639 0.1431
-0.8719 5.6928 5.6594
3.3145 -1.2062 3.6475
2.5752 2.8227 9.1638
-0.2051 -0.5012 3.1136
-0.5713 4.6180 2.4363
-0.8647 2.8385 8.0663
3.3072 1.6481 1.2406
3.0139 -0.1313 6.8705
2.6477 4.9878 6.1933
-1.7946 5.6387 1.5180
0.0179 -0.0833 1.3006
-2.7991 5.9045 5.9171
-0.2132 3.0702 1.5576
-0.4248 1.0445 3.8705
-1.0475 4.3540 4.1699
-2.4277 2.9762 9.0240
-0.9946 1.4273 7.0343
1.8291 1.8056 0.1590
1.2441 -1.3539 3.9837
-0.6435 4.3356 7.0131
0.9478 5.5952 2.4833
1.4948 -1.1086 6.8236
3.0861 0.1511 2.2937
1.1985 5.8405 5.3231
0.6135 2.6810 9.1478
3.4372 3.0593 2.2726
4.8703 1.5105 0.2829
3.4900 0.1326 5.1369
2.8674 3.4421 5.4364
2.6558 1.4164 7.7493
5.2416 -1.4179 3.3898
2.4247 4.5699 8.0063
4.2372 -1.1521 7.7889
```

Properties
**Formation energy from the elements**: -185.3 kJ/mol of atoms
**Distance to the lowest polymorph of the same formula**: 0.055 eV/atom
**E**: -243.5 eV for the cell shown

# 5
Here is Fe2W3O12 after structural relaxation from the Materials Project database. Energies are from PBE with a Hubbard U.

The structure in POSCAR format:
```
Fe2W3O12
1.0
16.1721 0.0000 0.0000
0.0000 9.4605 0.0000
-5.3379 0.0000 15.2127
Fe W O
16 24 96
Cartesian
-0.1850 0.3743 2.6661
-2.8540 4.3560 10.2724
-0.0295 0.2460 8.6249
2.6395 4.4842 1.0185
2.8249 5.0539 6.6614
0.1559 9.1368 14.2678
2.4125 4.8928 12.3310
5.0814 9.2979 4.7247
5.7527 0.1625 10.4881
8.4217 4.5677 2.8817
10.6782 0.3237 0.9450
8.0092 4.4066 8.5513
8.1947 4.9762 14.1942
10.8636 9.2145 6.5879
13.6881 5.1045 4.9403
11.0192 9.0862 12.5467
0.2198 7.0468 0.2550
-2.4491 7.1439 7.8614
-1.9275 1.1991 11.8062
0.7414 3.5312 4.1998
-1.1534 5.9576 13.1130
1.5156 8.2331 5.5066
3.4511 1.0556 1.6738
0.7822 3.6747 9.2802
4.9775 5.8272 3.5647
2.3086 8.3635 11.1710
5.2482 2.3355 7.5206
2.5792 2.3947 15.1270
8.2549 7.0657 0.0858
5.5859 7.1250 7.6921
8.5256 1.0970 4.0417
5.8566 3.6333 11.6481
10.0520 5.7858 5.9326
7.3830 8.4049 13.5389
9.3186 1.2274 9.7062
11.9875 3.5028 2.0998
10.0927 5.9293 11.0129
12.7617 8.2614 3.4065
13.2833 2.3165 7.3513
10.6143 2.4137 14.9577
-3.0992 5.7928 8.8812
-0.4302 8.3980 1.2748
-1.8289 6.5153 6.2686
-4.4978 7.6754 13.8750
-3.3137 0.0244 11.8699
-0.6447 4.7059 4.2635
-1.5605 1.1261 7.6590
1.1084 3.6041 0.0527
0.1402 1.8243 4.0442
-2.5288 2.9059 11.6506
1.5680 6.2051 1.1258
-1.1010 7.9856 8.7322
-2.0594 5.6861 11.5612
0.6096 8.5046 3.9549
1.6842 0.6849 1.8551
-0.9848 4.0453 9.4615
-0.8773 0.8394 10.3824
1.7917 3.8908 2.7761
-1.9400 5.1025 14.5035
0.7290 9.0882 6.8971
1.6417 6.4482 5.8053
-1.0273 7.7425 13.4117
-0.8974 1.0927 13.2978
1.7715 3.6376 5.6914
0.9778 2.0054 8.5933
3.6468 2.7249 0.9869
1.5523 4.9016 8.1907
4.2213 9.2892 0.5843
4.1080 5.3253 2.0586
1.4391 8.8654 9.6649
0.5342 5.3384 12.9441
3.2032 8.8523 5.3377
4.2522 0.9798 3.2962
1.5832 3.7504 10.9026
4.1106 5.2611 5.0522
1.4417 8.9296 12.6586
2.4079 6.5500 11.1877
5.0768 7.6408 3.5813
3.8886 6.4863 7.6119
6.5576 7.7044 0.0055
1.3703 1.0417 15.1038
4.0393 3.6886 7.4975
5.0950 1.3689 6.0023
2.4261 3.3613 13.6087
6.6335 5.0942 3.5668
3.9645 9.0965 11.1731
3.2106 6.0325 13.8351
5.8796 8.1582 6.2287
4.9545 1.3023 8.9840
7.6235 3.4280 1.3777
6.8696 0.3640 4.0396
4.2007 4.3663 11.6460
8.4081 6.0991 1.6041
5.7391 8.0916 9.2104
6.7948 5.7719 7.7153
9.4638 8.4188 0.1089
4.2766 1.7561 15.2073
6.9455 2.9741 7.6009
5.7573 1.8197 11.6314
8.4263 2.9105 4.0250
9.3925 0.5308 2.5541
6.7235 4.1994 10.1605
9.2509 5.7101 4.3102
6.5820 8.4807 11.9165
7.6309 0.6082 9.8750
10.2999 4.1221 2.2686
9.3951 0.5950 5.5478
6.7261 4.1352 13.1542
6.6129 0.1713 14.6284
9.2818 4.5589 7.0220
7.1873 6.7356 14.2258
9.8563 7.4551 6.6194
9.0626 5.8229 9.5214
11.7316 8.3678 1.9150
11.8614 1.7180 1.8010
9.1924 3.0122 9.4074
10.1051 0.3723 8.3157
12.7741 4.3580 0.7093
9.0425 5.5697 12.4367
11.7114 8.6210 4.8303
11.8189 5.4151 5.7513
9.1499 8.7756 13.3576
10.2246 0.9558 11.2579
12.8935 3.7744 3.6515
11.9351 1.4749 6.4805
9.2662 3.2554 14.0869
13.3629 6.5545 3.5622
10.6939 7.6362 11.1685
9.7257 5.8564 15.1601
12.3947 8.3343 7.5537
11.4788 4.7546 10.9493
14.1478 9.4361 3.3429
15.3320 1.7851 1.3377
12.6630 2.9451 8.9441
11.2643 1.0625 13.9379
13.9333 3.6677 6.3316
```

Properties
**Formation energy from the elements**: -190.6 kJ/mol of atoms
**Distance to the lowest polymorph of the same formula**: 0.000 eV/atom
**E**: -981.6 eV for the cell shown

# 6
Here is YFe2O4 after structural relaxation from the Materials Project database. Energies are from PBE with a Hubbard U.

The structure in POSCAR format:
```
YFe2O4
1.0
0.0000 4.4790 4.4790
4.4790 0.0000 4.4790
4.4790 4.4790 0.0000
Y Fe O
2 4 8
Cartesian
1.1198 1.1198 1.1198
7.8383 7.8383 7.8383
4.4790 2.2395 2.2395
2.2395 4.4790 2.2395
2.2395 2.2395 4.4790
4.4790 4.4790 4.4790
2.3675 2.3675 2.3675
4.3510 4.3510 2.3675
4.3510 2.3675 4.3510
6.5905 4.6070 4.6070
2.3675 4.3510 4.3510
4.6070 6.5905 4.6070
4.6070 4.6070 6.5905
6.5905 6.5905 6.5905
```

Properties
**Formation energy from the elements**: -217.2 kJ/mol of atoms
**Distance to the lowest polymorph of the same formula**: 0.196 eV/atom
**E**: -103.4 eV for the cell shown

# 7
Here is YFe2O4 after structural relaxation from the Materials Project database. Energies are from PBE with a Hubbard U.

The structure in POSCAR format:
```
YFe2O4
1.0
3.0720 -1.7676 0.0000
3.0720 1.7676 0.0000
-0.0637 0.0000 25.2005
Y Fe O
3 6 12
Cartesian
0.0000 0.0000 0.0000
1.9878 0.0000 8.4094
4.0924 0.0000 16.7911
0.0066 0.0000 19.8209
2.0058 0.0000 3.0381
2.0197 0.0000 13.7652
4.0605 0.0000 11.4354
4.0744 0.0000 22.1625
6.0737 0.0000 5.3796
-0.0005 0.0000 17.8414
-0.0050 0.0000 21.9498
1.9983 0.0000 5.1760
1.9962 0.0000 11.6371
2.0429 0.0000 1.0543
2.0425 0.0000 15.7433
4.0377 0.0000 9.4572
4.0373 0.0000 24.1462
4.0840 0.0000 13.5634
4.0820 0.0000 20.0246
6.0852 0.0000 3.2508
6.0807 0.0000 7.3592
```

Properties
**Formation energy from the elements**: -231.9 kJ/mol of atoms
**Distance to the lowest polymorph of the same formula**: 0.043 eV/atom
**E**: -158.3 eV for the cell shown

# 8
Here is YFe3O6 after structural relaxation from the Materials Project database. Energies are from PBE with a Hubbard U.

The structure in POSCAR format:
```
YFe3O6
1.0
6.2711 0.0000 0.0000
-3.1356 5.4310 0.0000
0.0000 0.0000 15.1283
Y Fe O
4 12 24
Cartesian
0.0000 0.0000 1.9745
0.0000 0.0000 13.1538
0.0000 3.6206 6.6566
3.1356 1.8103 8.4717
0.0000 0.0000 7.5641
-1.5678 2.7155 0.0000
0.0000 1.8640 10.0871
-1.5213 4.4989 10.0871
0.0000 3.6206 12.5023
1.6143 0.9320 5.0412
3.1356 0.0000 0.0000
1.5678 2.7155 0.0000
1.5213 4.4989 10.0871
3.1356 1.8103 2.6260
4.6568 0.9320 5.0412
3.1356 3.5669 5.0412
0.0000 0.0000 4.0941
0.0000 0.0000 11.0342
-1.3681 2.8308 11.1365
0.0000 1.5473 6.2541
-1.7956 4.6573 6.2541
0.0000 2.0187 13.8942
-1.3873 4.4216 13.8942
1.3400 0.7736 8.8741
0.0000 3.6206 0.9142
0.0000 3.6206 8.8499
1.7483 1.0094 1.2341
1.3681 2.8308 11.1365
0.0000 5.2004 11.1365
3.1356 0.2306 3.9918
1.7674 2.6002 3.9918
1.3873 4.4216 13.8942
3.1356 1.8103 6.2784
3.1356 1.8103 14.2141
1.7956 4.6573 6.2541
4.5229 1.0094 1.2341
3.1356 3.4122 1.2341
4.9312 0.7736 8.8741
3.1356 3.8837 8.8741
4.5037 2.6002 3.9918
```

Properties
**Formation energy from the elements**: -204.7 kJ/mol of atoms
**E**: -287.6 eV for the cell shown